Entry 1:
VASP calculation (PBE-GGA) on a geometry-optimized AlTlSiO4 structure.

Calculated volume   15.65 Å³ per atom
Crystal system   orthorhombic
Space-group type   No. 62
E (MP2020)   -7.376 eV/atom
Calculated formation energy   -2901 meV per atom
Final energy   -195.55 eV/cell

a b c (Å): 5.464 8.352 9.603
angles (deg): 90.00 90.00 90.00
Atoms (fractional coordinates):
1 O 0.250 0.759 0.260
2 O 0.509 0.717 0.003
3 O 0.250 0.513 0.437
4 Si 0.250 0.204 0.077
5 Tl 0.250 0.502 0.817
6 O 0.491 0.783 0.503
7 O 0.750 0.741 0.760
8 Tl 0.750 0.998 0.317
9 Si 0.750 0.796 0.923
10 Al 0.750 0.693 0.584
11 O 0.250 0.013 0.063
12 Al 0.250 0.807 0.084
13 Si 0.250 0.704 0.423
14 Tl 0.250 0.002 0.683
15 Si 0.750 0.296 0.577
16 Al 0.250 0.307 0.416
17 O 0.509 0.217 0.497
18 O 0.991 0.717 0.003
19 O 0.250 0.259 0.240
20 O 0.750 0.487 0.563
21 Tl 0.750 0.498 0.183
22 O 0.009 0.783 0.503
23 O 0.009 0.283 0.997
24 Al 0.750 0.193 0.916
25 O 0.750 0.241 0.740
26 O 0.991 0.217 0.497
27 O 0.750 0.987 0.937
28 O 0.491 0.283 0.997

Entry 2:
VASP calculation (PBE-GGA) on a geometry-optimized AlTlSiO4 structure.

Calculated volume   17.77 Å³ per atom
Crystal system   trigonal
Space-group type   No. 161
E (MP2020)   -7.377 eV/atom
Calculated formation energy   -2902 meV per atom
Final energy   -293.35 eV/cell

a b c (Å): 9.072 9.072 9.072
angles (deg): 90.56 90.56 90.56
Atoms (fractional coordinates):
1 O 0.556 0.141 0.851
2 O 0.863 0.851 0.440
3 O 0.056 0.650 0.359
4 O 0.851 0.440 0.863
5 Tl 0.352 0.352 0.650
6 Al 0.496 0.249 0.002
7 O 0.851 0.556 0.141
8 Al 0.002 0.496 0.249
9 O 0.948 0.651 0.640
10 Tl 0.852 0.150 0.852
11 O 0.351 0.363 0.940
12 O 0.859 0.150 0.556
13 O 0.359 0.056 0.650
14 O 0.651 0.640 0.948
15 Si 0.499 0.000 0.249
16 Tl 0.852 0.852 0.150
17 Al 0.249 0.002 0.496
18 O 0.056 0.351 0.641
19 O 0.556 0.859 0.150
20 Al 0.502 0.749 0.996
21 Si 0.500 0.999 0.749
22 O 0.363 0.940 0.351
23 Tl 0.352 0.650 0.352
24 Si 0.749 0.500 0.999
25 O 0.641 0.056 0.351
26 Tl 0.650 0.352 0.352
27 O 0.650 0.359 0.056
28 O 0.940 0.351 0.363
29 Si 0.999 0.749 0.500
30 Si 0.249 0.499 0.000
31 O 0.440 0.863 0.851
32 O 0.351 0.641 0.056
33 Al 0.996 0.502 0.749
34 Al 0.749 0.996 0.502
35 O 0.150 0.556 0.859
36 O 0.448 0.140 0.151
37 Tl 0.150 0.852 0.852
38 Si 0.000 0.249 0.499
39 O 0.141 0.851 0.556
40 O 0.151 0.448 0.140
41 O 0.140 0.151 0.448
42 O 0.640 0.948 0.651

Entry 3:
VASP calculation (PBE-GGA) on a geometry-optimized AlTlSi3O8 structure.

Calculated volume   14.93 Å³ per atom
Crystal system   triclinic
Space-group type   No. 2
E (MP2020)   -7.850 eV/atom
Calculated formation energy   -3083 meV per atom
Final energy   -193.10 eV/cell

a b c (Å): 7.364 7.782 8.116
angles (deg): 111.10 105.81 103.46
Atoms (fractional coordinates):
1 Si 0.772 0.799 0.178
2 Al 0.218 0.815 0.202
3 O 0.412 0.298 0.037
4 O 0.733 0.640 0.266
5 O 0.983 0.847 0.149
6 O 0.282 0.668 0.674
7 Si 0.347 0.840 0.605
8 Si 0.228 0.201 0.822
9 O 0.254 0.722 0.372
10 O 0.267 0.360 0.734
11 Si 0.653 0.160 0.395
12 O 0.588 0.702 0.963
13 O 0.780 0.337 0.016
14 Si 0.339 0.604 0.847
15 O 0.409 0.049 0.298
16 O 0.767 0.005 0.325
17 O 0.718 0.332 0.326
18 O 0.233 0.995 0.675
19 O 0.220 0.663 0.984
20 Tl 0.155 0.296 0.292
21 Al 0.782 0.185 0.798
22 O 0.017 0.153 0.851
23 O 0.746 0.278 0.628
24 O 0.591 0.951 0.702
25 Si 0.661 0.396 0.153
26 Tl 0.845 0.704 0.708

- E (MP2020) of number 1 (AlTlSiO4)?
  -7.376 eV/atom